# Mg3Si4O12

An optimized crystal structure of Mg3Si4O12 (PBE, the Materials Project database).

Calculated values
- E: -7.05 eV per atom
- E above lowest polymorph: 0.0 kJ/mol of atoms
- Space group: Cc, No. 9

Structure (extended XYZ):
```
38
Lattice="-0.765 -2.225 4.815 4.985 0.954 -1.720 0.303 25.852 12.843" Properties=species:S:1:pos:R:3 pbc="T T T"
O 4.898 16.531 6.866
O 3.071 11.323 8.111
O 0.589 8.583 7.972
O 3.460 10.165 4.713
O 1.112 22.615 11.984
O 2.020 14.937 10.142
O 1.496 13.527 7.926
O 0.342 2.066 3.495
O 0.964 9.691 5.559
O 2.652 12.360 10.563
O -0.055 0.951 5.901
O 1.999 25.130 11.819
O 0.088 24.068 14.002
O 3.610 23.095 11.133
O 2.541 -0.768 3.945
O 3.135 24.201 14.632
O 4.440 0.507 1.937
O 1.875 12.214 5.376
O 4.516 13.165 8.295
O 2.409 16.051 7.740
O 0.744 21.505 14.394
O -0.047 11.156 7.552
O 2.830 2.542 2.629
O 1.370 0.615 1.475
Mg 3.069 -0.102 0.452
Mg 3.184 12.859 6.803
Mg 1.296 11.759 9.061
Mg 0.189 12.889 6.500
Mg 0.396 25.846 12.858
Mg 1.060 -1.158 2.624
Si 1.913 10.712 4.697
Si -0.008 9.651 6.879
Si 4.378 2.000 2.639
Si 1.461 15.032 8.604
Si 2.061 23.637 11.121
Si 1.314 2.109 2.177
Si 2.617 13.868 11.235
Si 0.141 22.575 13.304
```

# Mg3Si2O9

An optimized crystal structure of Mg3Si2O9 (PBE, the Materials Project database).

Calculated values
- E: -6.30 eV per atom
- E above lowest polymorph: 1.6 kJ/mol of atoms
- Space group: P6_3, No. 173

Structure (extended XYZ):
```
28
Lattice="-0.609 4.514 2.914 -4.296 -3.077 -1.147 2.125 -7.416 11.934" Properties=species:S:1:pos:R:3 pbc="T T T"
Mg -2.382 -2.084 6.315
Mg -1.021 0.305 7.558
Mg -2.634 -6.852 11.858
Mg -1.016 -8.876 10.312
Mg 0.346 -6.486 11.554
Mg 0.598 -1.719 6.011
Si -0.509 -2.652 9.020
Si -2.801 -1.474 1.699
Si 0.265 -0.923 1.485
Si 1.327 -4.631 7.452
O -2.051 -4.092 5.911
O -0.198 -3.018 12.719
O 0.241 -5.270 13.231
O -0.756 -1.791 7.633
O 0.398 -3.984 8.649
O -0.989 -2.277 4.860
O -3.444 -2.984 1.494
O 1.492 -4.834 11.289
O -1.172 -1.568 1.970
O -1.982 -3.101 9.621
O -3.801 -2.783 5.046
O 0.018 -0.061 0.099
O -3.553 -0.685 2.942
O -2.111 -4.599 3.617
O 0.289 -1.685 10.097
O -3.048 -0.613 0.313
O -1.320 -5.340 11.476
O 1.080 -3.770 6.066
```

# MgSiO3

An optimized crystal structure of MgSiO3 (PBE, the Materials Project database).

Calculated values
- E: -6.98 eV per atom
- Space group: Pnma, No. 62

Structure (extended XYZ):
```
20
Lattice="4.831 0.000 0.000 0.000 4.981 0.000 0.000 0.000 6.979" Properties=species:S:1:pos:R:3 pbc="T T T"
Mg 2.345 2.211 5.234
Mg 2.486 2.770 1.745
Mg 4.760 0.279 1.745
Mg 0.071 4.702 5.234
Si 0.000 2.491 0.000
Si 0.000 2.491 3.489
Si 2.415 0.000 0.000
Si 2.415 0.000 3.489
O 3.365 1.486 0.373
O 3.881 3.976 0.373
O 1.466 3.495 6.606
O 0.499 2.318 1.745
O 1.917 4.809 1.745
O 3.365 1.486 3.117
O 2.914 0.172 5.234
O 0.950 1.005 3.862
O 4.332 2.663 5.234
O 0.950 1.005 6.606
O 1.466 3.495 3.862
O 3.881 3.976 3.117
```

# Mg3Si4O12

An optimized crystal structure of Mg3Si4O12 (PBE, the Materials Project database).

Calculated values
- E: -7.04 eV per atom
- E above lowest polymorph: 1.2 kJ/mol of atoms
- Space group: P-1, No. 2

Structure (extended XYZ):
```
19
Lattice="-5.330 0.000 0.000 2.657 4.681 0.000 -0.698 -1.251 -9.578" Properties=species:S:1:pos:R:3 pbc="T T T"
Mg -2.032 -0.573 -9.577
Mg 1.328 2.340 0.000
Mg -1.340 4.002 -0.001
O -3.930 1.089 -6.266
O -3.564 -0.071 -3.327
O 1.480 2.653 -8.440
O 0.475 3.902 -1.138
O 0.192 3.500 -6.251
O -0.899 0.070 -3.332
O -3.846 -0.472 -8.440
O -2.473 3.359 -6.247
O -4.852 0.776 -1.138
O -2.122 2.338 -0.834
O -1.249 1.091 -8.745
O 0.558 2.340 -3.313
Si 1.486 2.645 -6.790
Si -4.857 0.784 -2.788
Si 0.469 3.895 -2.789
Si -3.841 -0.466 -6.790
```

# MgSiO3

An optimized crystal structure of MgSiO3 (PBE, the Materials Project database).

Calculated values
- E: -7.01 eV per atom
- Space group: C2/c, No. 15

Structure (extended XYZ):
```
20
Lattice="4.115 4.871 0.000 -4.115 4.871 0.000 0.000 0.665 4.850" Properties=species:S:1:pos:R:3 pbc="T T T"
O 2.099 6.851 4.488
O 0.445 6.610 1.470
O -2.099 3.556 0.362
O 0.556 8.879 3.059
O 0.445 3.464 0.955
O 2.099 3.888 2.787
O -0.556 8.546 0.634
O -2.099 6.519 2.063
O -0.445 6.943 3.895
O -0.556 1.528 1.791
O -0.445 3.797 3.379
O 0.556 1.861 4.215
Si -0.656 2.425 0.134
Si -0.656 7.650 2.290
Si 0.656 2.757 2.559
Si 0.656 7.982 4.715
Mg -3.191 5.037 1.212
Mg 3.191 5.370 3.637
Mg 1.587 5.037 1.212
Mg -1.587 5.370 3.637
```

# Mg2SiO4

An optimized crystal structure of Mg2SiO4 (PBE, the Materials Project database).

Calculated values
- E: -6.76 eV per atom
- E above lowest polymorph: 12.7 kJ/mol of atoms
- Space group: R3m, No. 160

Structure (extended XYZ):
```
70
Lattice="-21.943 9.686 1.131 -23.633 4.178 0.772 -22.354 6.476 5.911" Properties=species:S:1:pos:R:3 pbc="T T T"
O -25.589 7.662 2.943
O -21.195 6.443 0.956
O -20.627 7.463 3.237
O -48.591 12.892 6.331
O -55.021 16.579 4.740
O -52.741 15.792 6.067
O -21.378 5.018 3.077
O -16.292 4.756 3.760
O -55.217 15.052 7.014
O -17.014 3.458 0.858
O -37.295 9.637 3.262
O -11.968 3.584 1.377
O -30.517 7.759 2.584
O -36.620 10.850 5.975
O -29.712 10.380 2.755
O -22.955 6.763 4.333
O -34.898 8.826 4.740
O -27.266 9.542 4.062
O -59.269 17.747 6.818
O -48.372 14.600 3.787
O -36.403 12.545 3.452
O -66.261 19.841 7.622
O -39.062 11.696 4.493
O -28.069 6.924 3.891
O -40.696 13.609 5.637
O -5.085 1.523 0.585
O -22.746 8.390 1.910
O -34.017 11.696 4.927
O -54.412 17.672 7.185
O -32.179 9.635 3.701
O -47.692 15.823 6.522
O -29.908 8.852 5.030
O -18.807 5.631 2.163
O -34.684 10.499 2.249
O -23.603 5.599 1.728
O -46.164 13.823 5.310
O -41.324 12.481 3.114
O -41.526 10.904 5.461
O -27.874 8.450 1.619
O -16.060 6.568 1.061
Mg -51.027 16.728 6.842
Mg -33.022 11.443 3.103
Mg -44.365 13.284 5.103
Mg -49.257 14.749 5.666
Mg -19.454 7.351 1.555
Mg -37.356 12.654 5.283
Mg -19.655 5.779 3.897
Mg -33.865 8.694 2.924
Mg -51.872 13.975 6.663
Mg -38.213 9.863 5.102
Mg -24.767 5.855 3.547
Mg -51.666 15.579 4.274
Mg -33.227 9.841 5.488
Mg -20.282 4.653 1.380
Mg -8.481 2.539 0.976
Mg -17.027 5.099 1.959
Mg -24.561 7.463 1.152
Mg -23.920 8.615 3.727
Mg -35.633 10.670 4.099
Mg -38.004 11.490 2.679
Si -13.561 4.061 1.560
Si -3.478 1.041 0.400
Si -40.637 12.168 4.674
Si -62.584 18.740 7.199
Si -27.197 8.144 3.128
Si -21.874 6.550 2.516
Si -57.687 17.273 6.636
Si -30.570 9.154 3.516
Si -54.337 16.270 6.250
Si -67.851 20.317 7.805
```

# MgSiO3

An optimized crystal structure of MgSiO3 (PBE, the Materials Project database).

Calculated values
- E: -7.07 eV per atom
- Space group: Pbca, No. 61

Structure (extended XYZ):
```
80
Lattice="5.437 0.000 0.000 0.000 8.285 0.000 0.000 0.000 19.582" Properties=species:S:1:pos:R:3 pbc="T T T"
O 1.544 8.192 5.990
O 4.153 3.112 8.372
O 1.284 5.173 11.210
O 4.208 7.323 6.326
O 4.204 4.256 1.038
O 1.233 8.172 10.829
O 0.020 2.083 0.775
O 4.204 0.113 8.753
O 1.544 4.050 3.801
O 1.435 1.030 8.372
O 2.698 2.083 10.565
O 1.486 8.172 1.038
O 4.208 3.181 3.465
O 3.893 0.093 13.592
O 1.174 4.050 13.592
O 2.739 2.059 0.775
O 5.233 6.126 13.968
O 1.233 4.029 18.544
O 1.435 5.173 1.419
O 1.229 5.104 16.117
O 1.489 5.104 6.326
O 3.948 7.323 16.117
O 1.174 8.192 15.780
O 5.417 2.059 10.565
O 2.515 6.301 13.968
O 4.263 4.235 5.990
O 2.739 6.202 9.016
O 1.284 1.030 18.163
O 1.489 0.962 3.465
O 0.204 6.301 4.177
O 0.020 6.226 9.016
O 2.698 6.226 18.807
O 5.417 6.202 18.807
O 2.922 6.126 4.177
O 4.003 3.112 18.163
O 4.003 7.254 11.210
O 3.951 0.113 18.544
O 1.486 4.029 8.753
O 0.204 2.159 5.613
O 3.948 3.181 13.256
O 2.515 2.159 15.404
O 3.951 4.256 10.829
O 5.233 1.984 15.404
O 3.893 4.235 15.780
O 4.263 0.093 3.801
O 2.922 1.984 5.613
O 1.229 0.962 13.256
O 4.153 7.254 1.419
Mg 2.391 3.635 12.083
Mg 0.330 7.739 2.566
Mg 2.389 3.597 17.016
Mg 3.048 0.546 7.225
Mg 5.110 4.650 17.290
Mg 2.389 7.739 12.357
Mg 2.391 7.778 17.290
Mg 3.046 4.650 7.499
Mg 3.046 0.507 2.292
Mg 5.108 4.688 12.357
Mg 5.108 0.546 17.016
Mg 0.330 3.597 7.225
Mg 0.327 3.635 2.292
Mg 5.110 0.507 12.083
Mg 0.327 7.778 7.499
Mg 3.048 4.688 2.566
Si 1.221 1.231 14.842
Si 3.939 2.911 14.842
Si 1.363 1.244 0.169
Si 1.355 5.386 19.413
Si 4.074 7.041 19.413
Si 1.498 1.231 5.051
Si 4.074 2.899 9.959
Si 1.498 5.374 4.740
Si 4.082 7.041 9.622
Si 4.216 7.054 4.740
Si 1.363 5.386 9.622
Si 1.355 1.244 9.959
Si 4.082 2.899 0.169
Si 4.216 2.911 5.051
Si 1.221 5.374 14.531
Si 3.939 7.054 14.531
```

# Mg2SiO4

An optimized crystal structure of Mg2SiO4 (PBE, the Materials Project database).

Calculated values
- E: -6.69 eV per atom
- E above lowest polymorph: 18.8 kJ/mol of atoms
- Space group: P2_12_12_1, No. 19

Structure (extended XYZ):
```
28
Lattice="5.482 0.000 0.000 0.000 7.392 0.000 0.000 0.000 7.549" Properties=species:S:1:pos:R:3 pbc="T T T"
Mg 0.510 1.893 4.846
Mg 3.251 1.803 2.703
Mg 3.929 3.230 0.308
Mg 4.293 4.162 4.082
Mg 4.972 5.589 6.477
Mg 1.188 0.466 7.241
Mg 2.231 5.499 1.072
Mg 1.553 6.926 3.467
O 1.975 0.539 5.225
O 3.507 4.235 6.098
O 3.422 7.294 2.177
O 1.506 5.784 6.750
O 2.486 5.273 4.075
O 2.996 1.577 7.248
O 4.801 0.098 5.951
O 2.060 3.598 1.598
O 4.246 5.304 0.799
O 4.716 3.157 2.324
O 0.681 3.794 5.372
O 1.235 1.608 2.976
O 0.255 2.120 0.301
O 3.976 2.088 4.573
O 0.766 6.853 1.451
O 5.227 5.816 3.474
Si 4.771 6.329 2.004
Si 2.031 4.760 5.545
Si 0.710 2.633 1.770
Si 3.451 1.063 5.778
```

| no. | E_form (eV/f.u.) |
| --- | --- |
| 1 | -56.4 |
| 2 | -34.2 |
| 3 | -15.1 |
| 4 | -56.1 |
| 5 | -15.2 |
| 6 | -21.6 |
| 7 | -15.5 |
| 8 | -21.2 |